# 1
{
  "formula": "CaTi2H2O6",
  "functional": "PBE",
  "state": "relaxed",
  "lattice_angstrom": [[4.975, 0.000, 0.000], [0.000, 12.200, 0.000], [-2.499, 0.000, 15.869]],
  "species": ["Ca", "Ca", "Ca", "Ca", "Ca", "Ca", "Ca", "Ca", "Ti", "Ti", "Ti", "Ti", "Ti", "Ti", "Ti", "Ti", "Ti", "Ti", "Ti", "Ti", "Ti", "Ti", "Ti", "Ti", "H", "H", "H", "H", "H", "H", "H", "H", "H", "H", "H", "H", "H", "H", "H", "H", "O", "O", "O", "O", "O", "O", "O", "O", "O", "O", "O", "O", "O", "O", "O", "O", "O", "O", "O", "O", "O", "O", "O", "O", "O", "O", "O", "O", "O", "O", "O", "O", "O", "O", "O", "O", "O", "O", "O", "O", "O", "O", "O", "O", "O", "O", "O", "O"],
  "fractional_positions": [[0.212, 0.188, 0.122], [0.212, 0.312, 0.622], [0.214, 0.050, 0.740], [0.214, 0.450, 0.240], [0.786, 0.550, 0.760], [0.786, 0.950, 0.260], [0.788, 0.688, 0.378], [0.788, 0.812, 0.878], [0.036, 0.112, 0.451], [0.036, 0.388, 0.951], [0.213, 0.012, 0.939], [0.213, 0.488, 0.439], [0.371, 0.696, 0.542], [0.371, 0.804, 0.042], [0.406, 0.590, 0.927], [0.406, 0.910, 0.427], [0.594, 0.090, 0.573], [0.594, 0.410, 0.073], [0.629, 0.196, 0.958], [0.629, 0.304, 0.458], [0.787, 0.512, 0.561], [0.787, 0.988, 0.061], [0.964, 0.612, 0.049], [0.964, 0.888, 0.549], [0.030, 0.748, 0.706], [0.030, 0.752, 0.206], [0.215, 0.704, 0.790], [0.215, 0.796, 0.290], [0.350, 0.085, 0.298], [0.350, 0.415, 0.798], [0.398, 0.663, 0.201], [0.398, 0.837, 0.701], [0.602, 0.163, 0.299], [0.602, 0.337, 0.799], [0.650, 0.585, 0.202], [0.650, 0.915, 0.702], [0.785, 0.204, 0.710], [0.785, 0.296, 0.210], [0.970, 0.248, 0.794], [0.970, 0.252, 0.294], [0.021, 0.724, 0.765], [0.021, 0.776, 0.265], [0.026, 0.536, 0.344], [0.026, 0.964, 0.844], [0.056, 0.601, 0.512], [0.056, 0.899, 0.012], [0.125, 0.687, 0.953], [0.125, 0.813, 0.453], [0.163, 0.021, 0.367], [0.163, 0.479, 0.867], [0.173, 0.712, 0.118], [0.173, 0.788, 0.618], [0.262, 0.503, 0.035], [0.262, 0.997, 0.535], [0.369, 0.192, 0.484], [0.369, 0.308, 0.984], [0.408, 0.120, 0.876], [0.408, 0.380, 0.376], [0.483, 0.112, 0.261], [0.483, 0.388, 0.761], [0.487, 0.155, 0.662], [0.487, 0.345, 0.162], [0.497, 0.097, 0.040], [0.497, 0.403, 0.540], [0.503, 0.597, 0.460], [0.503, 0.903, 0.960], [0.513, 0.655, 0.838], [0.513, 0.845, 0.338], [0.517, 0.612, 0.239], [0.517, 0.888, 0.739], [0.592, 0.620, 0.624], [0.592, 0.880, 0.124], [0.631, 0.692, 0.016], [0.631, 0.808, 0.516], [0.738, 0.003, 0.465], [0.738, 0.497, 0.965], [0.827, 0.212, 0.382], [0.827, 0.288, 0.882], [0.837, 0.521, 0.133], [0.837, 0.979, 0.633], [0.875, 0.187, 0.547], [0.875, 0.313, 0.047], [0.944, 0.101, 0.988], [0.944, 0.399, 0.488], [0.974, 0.036, 0.156], [0.974, 0.464, 0.656], [0.979, 0.224, 0.735], [0.979, 0.276, 0.235]],
  "e_form_ev_per_atom": -2.932,
  "volume_a3_per_cell": 963,
  "space_group": "P2_1/c (14)",
  "e_tot_ev_per_cell": -659.2
}

---

# 2
{
  "formula": "Mg7V",
  "functional": "PBE",
  "state": "relaxed",
  "lattice_angstrom": [[0.000, 4.362, 4.362], [4.362, 0.000, 4.362], [4.362, 4.362, 0.000]],
  "species": ["Mg", "Mg", "Mg", "Mg", "Mg", "Mg", "Mg", "V"],
  "fractional_positions": [[0.000, 0.000, 0.000], [0.000, 0.000, 0.500], [0.000, 0.500, 0.000], [0.000, 0.500, 0.500], [0.500, 0.000, 0.000], [0.500, 0.000, 0.500], [0.500, 0.500, 0.000], [0.500, 0.500, 0.500]],
  "e_form_ev_per_atom": 0.178,
  "volume_a3_per_cell": 166,
  "space_group": "Fm-3m (225)",
  "e_tot_ev_per_cell": -18.9,
  "de_polymorph_ev_per_atom": 0.021
}

---

# 3
{
  "formula": "LiCu2C4O10",
  "functional": "PBE",
  "state": "relaxed",
  "lattice_angstrom": [[5.010, -4.904, 0.000], [5.010, 4.904, 0.000], [-4.273, 0.000, 8.995]],
  "species": ["Li", "Li", "Cu", "Cu", "Cu", "Cu", "C", "C", "C", "C", "C", "C", "C", "C", "O", "O", "O", "O", "O", "O", "O", "O", "O", "O", "O", "O", "O", "O", "O", "O", "O", "O", "O", "O"],
  "fractional_positions": [[0.165, 0.835, 0.500], [0.835, 0.165, 0.000], [0.057, 0.362, 0.394], [0.362, 0.057, 0.894], [0.510, 0.900, 0.376], [0.900, 0.510, 0.876], [0.412, 0.436, 0.513], [0.436, 0.412, 0.013], [0.461, 0.791, 0.080], [0.622, 0.947, 0.671], [0.791, 0.461, 0.580], [0.947, 0.622, 0.171], [0.977, 0.990, 0.251], [0.990, 0.977, 0.751], [0.009, 0.059, 0.884], [0.012, 0.616, 0.300], [0.059, 0.009, 0.384], [0.136, 0.933, 0.698], [0.279, 0.508, 0.575], [0.330, 0.364, 0.879], [0.364, 0.330, 0.379], [0.406, 0.798, 0.951], [0.472, 0.891, 0.551], [0.478, 0.605, 0.110], [0.508, 0.279, 0.075], [0.512, 0.936, 0.201], [0.605, 0.478, 0.610], [0.616, 0.012, 0.800], [0.798, 0.406, 0.451], [0.804, 0.926, 0.639], [0.891, 0.472, 0.051], [0.926, 0.804, 0.139], [0.933, 0.136, 0.198], [0.936, 0.512, 0.701]],
  "e_form_ev_per_atom": -1.552,
  "volume_a3_per_cell": 442,
  "space_group": "Cc (9)",
  "e_tot_ev_per_cell": -232.0
}

---

| no. | magnetic moment (μB/cell) |
| --- | --- |
| 1 | 0.00 |
| 2 | 2.48 |
| 3 | 2.00 |